1.
VOF3: relaxed, PBE+U.

VASP energy ... -5.890 eV per atom
M_tot ... 0.000 μB/f.u.
Volume ... 14.96 A^3/atom
DFT formation energy ... -2.689 eV per atom

```
data_VOF3
_chemical_formula_sum 'V4 O4 F12'
_symmetry_space_group_name_H-M 'P 1'
_symmetry_Int_Tables_number 1
_symmetry_space_group_name_Hall 'P 1'
_cell_length_a 5.7567
_cell_length_b 7.6338
_cell_length_c 7.6779
_cell_angle_alpha 76.43
_cell_angle_beta 70.79
_cell_angle_gamma 71.68
loop_
_atom_site_label
_atom_site_type_symbol
_atom_site_fract_x
_atom_site_fract_y
_atom_site_fract_z
_atom_site_occupancy
V1 V 0.0000 0.0000 0.0000 1
V2 V 0.1821 0.2668 0.2293 1
V3 V 0.5253 0.4930 0.4946 1
V4 V 0.7591 0.7605 0.7259 1
O1 O 0.0255 0.2062 0.1168 1
O2 O 0.0367 0.6816 0.5906 1
O3 O 0.2993 0.8964 0.9562 1
O4 O 0.8300 0.3861 0.4387 1
F1 F 0.1512 0.5080 0.1547 1
F2 F 0.2018 0.0864 0.4188 1
F3 F 0.3964 0.3515 0.4137 1
F4 F 0.3969 0.4158 0.7334 1
F5 F 0.4838 0.6800 0.3134 1
F6 F 0.5005 0.1904 0.0926 1
F7 F 0.5512 0.7055 0.6110 1
F8 F 0.6603 0.0018 0.6451 1
F9 F 0.7050 0.5776 0.9118 1
F10 F 0.8571 0.9113 0.2328 1
F11 F 0.8782 0.8463 0.9053 1
F12 F 0.9604 0.1783 0.8101 1
```

***

2.
V2O3F: relaxed, PBE+U.

VASP energy ... -7.490 eV per atom
Volume ... 11.11 A^3/atom
DFT formation energy ... -2.657 eV per atom
Offset from the most stable computed form ... 13.3 meV/atom

```
data_V2O3F
_chemical_formula_sum 'V16 O24 F8'
_symmetry_space_group_name_H-M 'A m m 2'
_symmetry_Int_Tables_number 38
_symmetry_space_group_name_Hall 'A 2 -2'
_cell_length_a 12.1124
_cell_length_b 6.4148
_cell_length_c 6.8607
_cell_angle_alpha 90.00
_cell_angle_beta 90.00
_cell_angle_gamma 90.00
loop_
_atom_site_label
_atom_site_type_symbol
_atom_site_fract_x
_atom_site_fract_y
_atom_site_fract_z
_atom_site_occupancy
V1 V 0.0000 0.0000 0.0000 1
V2 V 0.1247 0.0000 0.4559 1
V3 V 0.2506 0.0000 0.0038 1
V4 V 0.3747 0.0000 0.4615 1
V5 V 0.5000 0.0000 0.9154 1
O1 O 0.0000 0.0000 0.2627 1
O2 O 0.1254 0.1932 0.9648 1
O3 O 0.2501 0.0000 0.2649 1
O4 O 0.3754 0.1924 0.9609 1
O5 O 0.5000 0.0000 0.6561 1
F1 F 0.0000 0.0000 0.6627 1
F2 F 0.2494 0.0000 0.6626 1
F3 F 0.5000 0.0000 0.2611 1
```